First-principles (PBE with a Hubbard U) data for LiTiFe5O8 after structural relaxation, as listed in Materials Project.

Values from the calculation:
polymorph energy (0 for the lowest one)	0.051	eV per atom
uncorrected energy	-6.841	eV per atom
volume	10.98	A^3/atom

The structure in extended XYZ format:
```
15
Lattice="5.948 0.000 0.000 -2.917 5.211 0.000 -0.039 -3.409 5.316" Properties=species:S:1:pos:R:3 pbc="T T T"
Li 0.000 0.000 0.000
Ti 2.955 -1.705 2.658
Fe -1.459 2.606 0.000
Fe -0.064 0.018 2.408
Fe 2.974 0.000 0.000
Fe 1.515 2.606 0.000
Fe 3.056 1.784 2.908
O -1.412 2.701 3.858
O 1.506 -0.881 1.471
O 0.014 1.832 1.510
O -0.007 0.073 4.311
O 2.998 1.729 1.005
O 2.977 -0.030 3.806
O 1.486 2.683 3.845
O 4.403 -0.899 1.458
```

***

First-principles (PBE with a Hubbard U) data for NaNp3FeF15 after structural relaxation, as listed in Materials Project.

Values from the calculation:
uncorrected energy	-6.850	eV per atom
volume	13.78	A^3/atom

The structure in extended XYZ format:
```
80
Lattice="8.515 -4.915 0.000 8.515 4.915 0.000 -0.010 0.000 13.170" Properties=species:S:1:pos:R:3 pbc="T T T"
Na 8.515 -4.913 0.000
Na 8.511 4.913 6.585
Na 11.352 0.006 8.672
Na 11.356 -0.006 2.087
Np 3.530 1.393 0.751
Np 5.539 2.552 7.330
Np 10.683 3.528 3.428
Np 8.625 2.342 10.020
Np 3.525 -1.393 7.336
Np 7.951 1.161 0.754
Np 5.544 -2.552 0.745
Np 7.946 -1.161 7.339
Np 8.629 -2.342 3.435
Np 14.739 1.191 10.013
Np 10.678 -3.528 10.013
Np 14.744 -1.191 3.428
Fe 5.661 0.024 10.603
Fe 5.666 -0.024 4.018
Fe 11.347 0.004 5.381
Fe 11.342 -0.004 11.966
F 7.187 4.080 10.478
F 1.386 0.728 3.886
F 1.893 0.237 8.056
F 7.366 3.399 1.467
F 4.104 1.155 11.483
F 5.471 1.911 4.880
F 1.898 -0.237 1.471
F 7.772 3.155 8.062
F 8.455 3.355 3.890
F 1.381 -0.728 10.470
F 5.748 1.556 0.318
F 4.289 0.712 6.900
F 4.009 0.271 2.790
F 6.283 1.588 9.370
F 8.670 2.714 12.380
F 10.334 3.678 5.799
F 6.764 1.336 2.780
F 4.004 -0.271 9.375
F 4.293 -0.712 0.315
F 6.986 0.841 6.910
F 9.727 2.123 1.821
F 10.324 2.472 8.413
F 4.109 -1.155 4.898
F 7.427 0.762 11.476
F 8.703 0.355 8.929
F 12.376 2.475 2.341
F 10.441 1.327 10.759
F 10.674 1.458 4.172
F 5.743 -1.556 6.902
F 6.991 -0.841 0.325
F 7.432 -0.762 4.892
F 5.466 -1.911 11.465
F 6.288 -1.588 2.785
F 6.759 -1.336 9.365
F 8.707 -0.355 2.344
F 12.979 2.114 8.927
F 9.716 0.104 13.146
F 12.064 1.454 6.572
F 9.721 -0.104 6.561
F 12.255 1.352 13.148
F 12.954 0.135 10.767
F 10.445 -1.327 4.174
F 10.669 -1.458 10.757
F 12.959 -0.135 4.182
F 7.361 -3.399 8.052
F 7.777 -3.155 1.477
F 8.675 -2.714 5.795
F 15.039 0.960 12.386
F 9.722 -2.123 8.406
F 14.011 0.349 1.827
F 7.192 -4.080 3.893
F 8.451 -3.355 10.475
F 12.059 -1.454 13.157
F 10.329 -2.472 1.828
F 12.260 -1.352 6.564
F 14.006 -0.349 8.412
F 12.984 -2.114 2.342
F 12.371 -2.475 8.926
F 10.329 -3.678 12.384
F 15.044 -0.960 5.801
```

***

First-principles (PBE with a Hubbard U) data for NiTeO4 after structural relaxation, as listed in Materials Project.

Values from the calculation:
polymorph energy (0 for the lowest one)	0.122	eV per atom
uncorrected energy	-5.194	eV per atom
volume	13.56	A^3/atom

The structure in extended XYZ format:
```
12
Lattice="-3.058 3.080 4.320 3.058 -3.080 4.320 3.058 3.080 -4.320" Properties=species:S:1:pos:R:3 pbc="T T T"
Ni -1.529 1.540 2.160
Ni 1.529 1.540 2.160
Te 0.000 0.000 0.000
Te 0.000 3.080 0.000
O 0.000 0.146 1.897
O 1.340 1.540 0.014
O 1.718 -1.540 4.334
O 3.058 0.146 2.422
O 0.000 2.934 1.897
O 1.340 4.620 -0.014
O 1.718 1.540 4.306
O 3.058 2.934 2.422
```

***

First-principles (PBE with a Hubbard U) data for Li6V2OF11 after structural relaxation, as listed in Materials Project.

Values from the calculation:
polymorph energy (0 for the lowest one)	0.625	eV per atom
uncorrected energy	-4.818	eV per atom
volume	10.48	A^3/atom

The structure in extended XYZ format:
```
20
Lattice="5.123 0.000 0.000 2.535 4.885 0.000 0.088 2.680 8.373" Properties=species:S:1:pos:R:3 pbc="T T T"
Li 0.000 0.000 0.000
Li 0.925 1.943 3.009
Li 2.114 3.052 6.371
Li 4.987 5.908 7.350
Li 5.809 4.378 2.341
Li 6.805 6.283 5.323
V 2.854 2.734 1.070
V 3.968 3.605 4.381
O 2.644 3.114 2.578
F 1.874 3.354 8.252
F 3.527 5.650 5.498
F 3.910 4.812 1.836
F 3.218 5.250 7.787
F 2.479 2.640 4.669
F 6.240 6.918 6.847
F 4.669 1.994 1.334
F 5.532 4.282 3.960
F 4.458 1.482 3.499
F 5.249 3.755 6.034
F 6.329 3.644 0.643
```

***

First-principles (PBE with a Hubbard U) data for Li9Mn2Co5O16 after structural relaxation, as listed in Materials Project.

Values from the calculation:
polymorph energy (0 for the lowest one)	0.067	eV per atom
uncorrected energy	-5.788	eV per atom
volume	8.98	A^3/atom

The structure in extended XYZ format:
```
32
Lattice="2.976 0.000 0.000 1.453 6.272 0.000 0.714 0.203 15.392" Properties=species:S:1:pos:R:3 pbc="T T T"
Li 0.000 0.000 0.000
Li 1.570 5.564 2.871
Li 1.862 4.066 8.653
Li 2.160 2.523 14.472
Li 1.677 0.876 4.753
Li 3.465 5.598 10.639
Li 2.983 3.951 0.920
Li 3.281 2.408 6.739
Li 3.573 0.910 12.522
Mn 1.749 4.766 5.802
Mn 3.393 1.708 9.590
Co 2.021 3.317 11.587
Co 1.558 1.520 1.824
Co 1.845 0.101 7.696
Co 3.585 4.954 13.568
Co 3.122 3.157 3.805
O 1.807 6.110 8.972
O 1.943 5.160 12.071
O 2.216 4.538 14.801
O 1.584 3.406 2.424
O 1.718 2.886 5.247
O 1.750 1.970 8.193
O 2.079 1.407 11.020
O 2.122 0.399 13.871
O 3.021 6.075 1.522
O 3.064 5.067 4.372
O 3.393 4.504 7.200
O 3.425 3.588 10.145
O 3.559 3.068 12.969
O 2.927 1.936 0.591
O 3.199 1.314 3.321
O 3.336 0.364 6.420
```

***

First-principles (PBE with a Hubbard U) data for HfMg14FeO16 after structural relaxation, as listed in Materials Project.

Values from the calculation:
polymorph energy (0 for the lowest one)	0.017	eV per atom
uncorrected energy	-6.173	eV per atom
volume	10.07	A^3/atom

The structure in extended XYZ format:
```
32
Lattice="8.659 0.000 0.000 0.000 8.659 0.000 0.000 0.000 4.299" Properties=species:S:1:pos:R:3 pbc="T T T"
Hf 0.000 0.000 0.000
Mg 0.000 2.228 2.150
Mg 0.000 4.330 0.000
Mg 0.000 6.431 2.150
Mg 2.169 4.330 2.150
Mg 2.228 0.000 2.150
Mg 2.229 2.229 0.000
Mg 2.229 6.430 0.000
Mg 4.330 0.000 0.000
Mg 4.330 2.169 2.150
Mg 4.330 6.490 2.150
Mg 6.431 0.000 2.150
Mg 6.430 2.229 0.000
Mg 6.430 6.430 0.000
Mg 6.490 4.330 2.150
Fe 4.330 4.330 0.000
O 0.000 0.000 2.150
O 0.000 2.185 0.000
O 0.000 4.330 2.150
O 0.000 6.474 0.000
O 2.077 4.330 0.000
O 2.166 2.166 2.150
O 2.166 6.494 2.150
O 2.185 0.000 0.000
O 4.330 0.000 2.150
O 4.330 2.077 0.000
O 4.330 4.330 2.150
O 4.330 6.582 0.000
O 6.474 0.000 0.000
O 6.494 2.166 2.150
O 6.494 6.494 2.150
O 6.582 4.330 0.000
```

***

First-principles (PBE with a Hubbard U) data for NaCa2Fe5Si8O24 after structural relaxation, as listed in Materials Project.

Values from the calculation:
uncorrected energy	-7.350	eV per atom
volume	12.06	A^3/atom

The structure in extended XYZ format:
```
40
Lattice="5.089 -9.193 0.000 5.089 9.193 0.000 -1.375 0.000 5.155" Properties=species:S:1:pos:R:3 pbc="T T T"
Na 0.000 0.000 0.000
Ca 4.402 5.069 2.577
Ca 4.402 -5.069 2.577
Fe 5.089 3.272 0.000
Fe 4.402 1.451 2.577
Fe 5.089 0.000 0.000
Fe 4.402 -1.451 2.577
Fe 5.089 -3.272 0.000
Si 1.893 3.113 1.016
Si 1.294 1.541 3.613
Si 1.294 -1.541 3.613
Si 1.893 -3.113 1.016
Si 6.911 3.113 4.139
Si 7.510 1.541 1.542
Si 7.510 -1.541 1.542
Si 6.911 -3.113 4.139
O 0.333 2.433 4.634
O 1.013 2.118 2.084
O 2.648 4.706 4.075
O 0.677 0.000 3.671
O 3.461 3.173 1.456
O 1.013 -2.118 2.084
O 0.333 -2.433 4.634
O 2.846 1.657 4.014
O 6.155 4.706 1.080
O 3.648 0.000 1.448
O 5.343 3.173 3.699
O 2.846 -1.657 4.014
O 5.958 1.657 1.140
O 3.461 -3.173 1.456
O 5.155 0.000 3.707
O 2.648 -4.706 4.075
O 5.958 -1.657 1.140
O 8.471 2.433 0.521
O 7.791 2.118 3.071
O 5.343 -3.173 3.699
O 8.126 0.000 1.484
O 6.155 -4.706 1.080
O 7.791 -2.118 3.071
O 8.471 -2.433 0.521
```

***

First-principles (PBE with a Hubbard U) data for Mn5SnO8 after structural relaxation, as listed in Materials Project.

Values from the calculation:
polymorph energy (0 for the lowest one)	0.000	eV per atom
uncorrected energy	-7.384	eV per atom
volume	12.38	A^3/atom

The structure in extended XYZ format:
```
28
Lattice="5.773 0.011 2.130 0.481 -7.814 7.184 4.473 -2.979 -3.353" Properties=species:S:1:pos:R:3 pbc="T T T"
O 5.947 -5.767 1.037
Mn 5.100 -5.172 -0.611
Mn 7.928 -5.198 0.403
O 4.800 -7.023 3.958
O 7.940 -7.006 5.059
Mn 6.701 -2.587 -0.467
Mn 5.578 -7.506 2.098
O 5.478 -5.700 6.630
Mn 4.700 -5.003 4.800
Mn 5.928 -7.615 5.670
O 2.328 -1.628 2.044
Mn 8.221 -9.187 3.973
Sn 2.591 -5.343 1.869
O 9.075 -9.760 5.741
Mn 3.109 -2.111 0.185
O 4.850 -3.196 0.431
O 6.421 -9.642 4.813
O 6.598 -4.361 3.830
O 9.065 -5.834 2.170
O 2.849 -5.611 5.700
O 3.948 -8.187 6.302
Mn 5.746 -3.790 2.059
Sn 0.596 -7.761 7.140
O 7.477 -3.280 1.366
Mn 3.098 -7.590 4.655
O 5.467 -1.607 3.149
O 3.944 -4.245 2.896
O 7.062 -8.252 7.436
```

***

First-principles (PBE with a Hubbard U) data for Sr5Ca3Fe2Co6O24 after structural relaxation, as listed in Materials Project.

Values from the calculation:
uncorrected energy	-6.066	eV per atom
volume	11.47	A^3/atom

The structure in extended XYZ format:
```
40
Lattice="7.679 0.000 0.000 0.000 7.734 0.000 -0.003 0.000 7.724" Properties=species:S:1:pos:R:3 pbc="T T T"
Sr 7.677 0.000 7.723
Sr -0.001 0.000 3.820
Sr 0.000 3.867 0.000
Sr 7.676 3.867 3.822
Sr 3.793 0.000 3.819
Ca 3.766 0.000 0.047
Ca 3.771 3.867 0.053
Ca 3.767 3.867 3.766
Fe 5.719 1.937 1.905
Fe 5.719 5.796 1.905
Co 1.905 1.939 1.907
Co 1.905 5.795 1.907
Co 1.909 1.939 5.783
Co 1.909 5.795 5.783
Co 5.699 1.942 5.779
Co 5.699 5.792 5.779
O 0.068 1.940 5.775
O 0.068 5.794 5.775
O 1.921 1.955 3.726
O 1.921 5.779 3.726
O 1.930 1.947 0.092
O 1.930 5.787 0.092
O 1.941 0.000 5.831
O 1.953 3.867 5.775
O 1.971 0.000 1.874
O 2.020 3.867 1.898
O 3.729 1.944 5.788
O 3.729 5.789 5.788
O 3.805 1.958 1.893
O 3.805 5.776 1.893
O 5.675 1.938 7.662
O 5.675 5.796 7.662
O 5.689 3.867 1.899
O 5.697 0.000 1.889
O 5.696 1.959 3.882
O 5.697 3.867 5.778
O 5.696 5.775 3.882
O 5.712 0.000 5.789
O 7.661 1.942 1.905
O 7.661 5.792 1.905
```

***

First-principles (PBE with a Hubbard U) data for RbFeF4 after structural relaxation, as listed in Materials Project.

Values from the calculation:
uncorrected energy	-4.992	eV per atom
volume	16.15	A^3/atom

The structure in extended XYZ format:
```
24
Lattice="6.348 0.000 0.000 0.000 7.796 0.000 0.000 0.000 7.830" Properties=species:S:1:pos:R:3 pbc="T T T"
Rb 0.035 1.571 1.957
Rb 0.035 2.327 5.872
Rb 6.314 5.469 1.957
Rb 6.314 6.225 5.872
Fe 3.174 0.000 0.000
Fe 3.174 0.000 3.915
Fe 3.174 3.898 0.000
Fe 3.174 3.898 3.915
F 1.371 4.328 4.287
F 1.371 4.328 7.457
F 1.371 7.365 0.372
F 1.371 7.365 3.543
F 2.626 1.949 0.000
F 2.626 1.949 3.915
F 2.719 4.008 1.957
F 2.719 7.686 5.872
F 3.629 0.110 1.957
F 3.629 3.788 5.872
F 3.722 5.847 0.000
F 3.722 5.847 3.915
F 4.978 0.430 4.287
F 4.978 0.430 7.457
F 4.978 3.468 0.372
F 4.978 3.468 3.543
```

***

First-principles (PBE with a Hubbard U) data for HoMgFe2O6 after structural relaxation, as listed in Materials Project.

Values from the calculation:
uncorrected energy	-6.832	eV per atom
volume	10.71	A^3/atom

The structure in extended XYZ format:
```
20
Lattice="7.569 0.000 0.000 0.000 5.452 0.000 0.000 0.000 5.188" Properties=species:S:1:pos:R:3 pbc="T T T"
Ho 0.000 0.993 0.000
Ho 3.784 4.459 2.594
Mg 0.000 3.758 2.428
Mg 3.784 1.694 5.022
Fe 1.884 4.054 5.106
Fe 1.901 1.399 2.512
Fe 5.668 1.399 2.512
Fe 5.685 4.054 5.106
O 0.000 1.644 3.066
O 0.000 4.295 4.438
O 1.429 2.438 0.941
O 1.432 5.114 1.527
O 2.352 0.339 4.121
O 2.356 3.015 3.535
O 3.784 1.157 1.844
O 3.784 3.808 0.472
O 5.217 0.339 4.121
O 5.213 3.015 3.535
O 6.140 2.438 0.941
O 6.137 5.114 1.527
```

***

Q: What is the volume in the eleventh record?
A: 10.71 A^3/atom

***

Q: What is the formula in the eleventh record?
A: HoMgFe2O6